[1]
This record from Materials Project describes a relaxed structure of YMn6Ge6. The functional is PBE.

Properties
ΔE_f: -30.8 kJ/mol of atoms

Structure (CIF):
```
data_YMn6Ge6
_chemical_formula_sum 'Y1 Mn6 Ge6'
_space_group_name_H-M_alt 'P 6/m m m'
_space_group_IT_number 191
_space_group_name_Hall '-P 6 2'
_cell_length_a 5.1841
_cell_length_b 5.1841
_cell_length_c 8.1528
_cell_angle_alpha 90.00
_cell_angle_beta 90.00
_cell_angle_gamma 120.00
loop_
_atom_site_label
_atom_site_type_symbol
_atom_site_fract_x
_atom_site_fract_y
_atom_site_fract_z
_atom_site_occupancy
Y1 Y 0.0000 0.0000 0.0000 1
Mn1 Mn 0.0000 0.5000 0.2510 1
Ge1 Ge 0.0000 0.0000 0.3446 1
Ge2 Ge 0.3333 0.6667 0.0000 1
Ge3 Ge 0.3333 0.6667 0.5000 1
```

***

[2]
This record from Materials Project describes a relaxed structure of CeMg3. The functional is PBE.

Properties
ΔE_f: 1.4 kJ/mol of atoms

Structure (CIF):
```
data_CeMg3
_chemical_formula_sum 'Ce2 Mg6'
_space_group_name_H-M_alt 'P 63/m m c'
_space_group_IT_number 194
_space_group_name_Hall '-P 6c 2c'
_cell_length_a 6.8132
_cell_length_b 6.8132
_cell_length_c 5.1873
_cell_angle_alpha 90.00
_cell_angle_beta 90.00
_cell_angle_gamma 120.00
loop_
_atom_site_label
_atom_site_type_symbol
_atom_site_fract_x
_atom_site_fract_y
_atom_site_fract_z
_atom_site_occupancy
Ce1 Ce 0.3333 0.6667 0.2500 1
Mg1 Mg 0.1634 0.3268 0.7500 1
```

***

[3]
This record from Materials Project describes a relaxed structure of PmSe2. The functional is PBE.

Properties
ΔE_f: -185.2 kJ/mol of atoms
energy relative to the lowest polymorph listed for this composition: 17 meV/atom
corrected total energy (MP2020 scheme): -0.4287 Ry/atom

Structure (CIF):
```
data_PmSe2
_chemical_formula_sum 'Pm2 Se4'
_space_group_name_H-M_alt 'P 4/n m m'
_space_group_IT_number 129
_cell_length_a 4.144
_cell_length_b 4.144
_cell_length_c 8.549
_cell_angle_alpha 90.00
_cell_angle_beta 90.00
_cell_angle_gamma 90.00
loop_
_space_group_symop_operation_xyz
'x,y,z'
'-x,-y,-z'
'-y+1/2,x,z'
'y+1/2,-x,-z'
'-x+1/2,-y+1/2,z'
'x+1/2,y+1/2,-z'
'y,-x+1/2,z'
'-y,x+1/2,-z'
'x+1/2,-y,-z'
'-x+1/2,y,z'
'-y,-x,-z'
'y,x,z'
'-x,y+1/2,-z'
'x,-y+1/2,z'
'y+1/2,x+1/2,-z'
'-y+1/2,-x+1/2,z'
loop_
_atom_site_label
_atom_site_type_symbol
_atom_site_fract_x
_atom_site_fract_y
_atom_site_fract_z
_atom_site_occupancy
Pm1 Pm 0.250 0.250 0.226 1
Se1 Se 0.250 0.250 0.868 1
Se2 Se 0.250 0.750 0.500 1
```

***

no.,VASP energy (eV per atom)
1,-7.179
2,-2.669
3,-5.519